The following is a GGA+U calculation of a relaxed Li2NiP4O12 crystal, from Materials Project.

Properties
Energy above the most stable polymorph in this dataset ... 1 meV per atom
Electronic total energy ... -6.741 eV per atom
Total moment ... 0.105 μB per atom

a = 9.4083 Å, b = 9.2404 Å, c = 10.2322 Å
α = 90.00°, β = 90.00°, γ = 90.00°
Last column: nearest neighbours and their distance in Å.
Space group Pnma (No. 62)
Unique sites:
Li 0.0081 0.0948 0.1774 (multiplicity 8)  4 O 2.01-2.11
Ni 0.0111 0.2500 0.7968 (multiplicity 4)  6 O 2.03-2.16
P 0.1947 0.7500 0.6086 (multiplicity 4)  4 O 1.50-1.61
P 0.2104 0.5421 0.3879 (multiplicity 8)  4 O 1.51-1.61
P 0.2300 0.2500 0.5190 (multiplicity 4)  4 O 1.48-1.61
O 0.0965 0.7500 0.7236 (multiplicity 4)  1 P 1.50
O 0.1109 0.7500 0.0354 (multiplicity 4)  1 P 1.51
O 0.1132 0.5756 0.2749 (multiplicity 8)  1 P 1.51
O 0.1322 0.0715 0.8745 (multiplicity 8)  1 P 1.51
O 0.1347 0.2500 0.6344 (multiplicity 4)  1 P 1.48
O 0.1480 0.2500 0.1294 (multiplicity 4)  1 P 1.50
O 0.1484 0.6143 0.5191 (multiplicity 8)  2 P 1.61
O 0.1837 0.1234 0.4192 (multiplicity 8)  2 P 1.58-1.61

The following is a GGA+U calculation of a relaxed Co5Te4Br2O12 crystal, from Materials Project.

Properties
Electronic total energy ... -5.423 eV per atom
Total moment ... 0.652 μB per atom

a = 20.8086 Å, b = 5.3338 Å, c = 16.5581 Å
α = 90.00°, β = 124.44°, γ = 90.00°
Last column: nearest neighbours and their distance in Å.
Space group C2/c (No. 15)
Unique sites:
Co 0.0000 0.2363 0.2500 (multiplicity 4)  4 O 2.03-2.11
Co 0.0086 0.2181 0.6188 (multiplicity 8)  5 O 2.05-2.22
Co 0.0863 0.2167 0.4731 (multiplicity 8)  5 O 2.03-2.22
Te 0.1217 0.3156 0.1377 (multiplicity 8)  3 O 1.91-1.93
Te 0.1414 0.2901 0.8767 (multiplicity 8)  3 O 1.87-1.96
Br 0.2356 0.3294 0.5985 (multiplicity 8)  1 Co 2.65
O 0.0397 0.1625 0.1423 (multiplicity 8)  1 Te 1.93, 1 Co 2.10
O 0.0615 0.4931 0.3672 (multiplicity 8)  1 Te 1.96, 2 Co 2.11-2.12
O 0.0682 0.3855 0.5686 (multiplicity 8)  1 Te 1.91, 2 Co 2.03-2.05
O 0.0757 0.0090 0.8552 (multiplicity 8)  1 Te 1.92, 1 Co 2.03
O 0.0931 0.1437 0.0201 (multiplicity 8)  1 Te 1.92, 2 Co 2.05-2.10
O 0.1106 0.3405 0.7480 (multiplicity 8)  1 Te 1.87

The following is a GGA+U calculation of a relaxed Al5Ni3O12 crystal, from Materials Project.

Properties
Energy above the most stable polymorph in this dataset ... 35 meV per atom
Electronic total energy ... -6.362 eV per atom
Total moment ... 0.259 μB per atom

a = 5.6807 Å, b = 5.6970 Å, c = 14.0800 Å
α = 89.20°, β = 88.25°, γ = 60.13°
Last column: nearest neighbours and their distance in Å.
Space group P1 (No. 1)
Unique sites:
Al 0.0000 0.0000 0.0000 (multiplicity 1)  4 O 1.77-1.84
Al 0.0047 0.4983 0.8684 (multiplicity 1)  6 O 1.86-2.01
Al 0.1860 0.6547 0.5338 (multiplicity 1)  6 O 1.84-2.01
Al 0.3273 0.3376 0.3251 (multiplicity 1)  4 O 1.78-1.80
Al 0.3443 0.3277 0.7030 (multiplicity 1)  6 O 1.89-1.95
Al 0.3605 0.3187 0.0790 (multiplicity 1)  4 O 1.78-1.85
Al 0.5036 0.9948 0.8683 (multiplicity 1)  6 O 1.85-2.02
Al 0.6773 0.1584 0.5343 (multiplicity 1)  6 O 1.84-1.98
Al 0.6880 0.6544 0.4087 (multiplicity 1)  4 O 1.78-1.84
Al 0.8421 0.3277 0.2024 (multiplicity 1)  6 O 1.89-1.94
Ni 0.0127 0.9930 0.3658 (multiplicity 1)  6 O 1.89-2.10
Ni 0.0177 0.9993 0.7375 (multiplicity 1)  4 O 1.95-1.97
Ni 0.1852 0.1585 0.5352 (multiplicity 1)  6 O 1.87-2.07
Ni 0.5043 0.4981 0.8721 (multiplicity 1)  6 O 1.85-2.05
Ni 0.6751 0.6626 0.0390 (multiplicity 1)  6 O 1.88-2.10
Ni 0.8426 0.8275 0.2033 (multiplicity 1)  6 O 1.91-2.09
O 0.0190 0.4704 0.1236 (multiplicity 1)  2 Al 1.78-1.90
O 0.0560 0.4670 0.6117 (multiplicity 1)  1 Ni 1.87, 2 Al 1.90-1.94
O 0.1452 0.6842 0.2871 (multiplicity 1)  1 Al 1.80, 2 Ni 1.89-1.93
O 0.1456 0.1743 0.2871 (multiplicity 1)  2 Al 1.79-1.94, 1 Ni 1.89
O 0.1788 0.6282 0.7876 (multiplicity 1)  2 Al 1.86-1.90, 2 Ni 1.97-2.03
O 0.1914 0.1810 0.7967 (multiplicity 1)  3 Al 1.87-1.95, 1 Ni 1.96
O 0.3384 0.3293 0.9478 (multiplicity 1)  3 Al 1.85-2.01, 1 Ni 1.94
O 0.3422 0.8407 0.9517 (multiplicity 1)  2 Al 1.80-1.92
O 0.3440 0.8215 0.4554 (multiplicity 1)  2 Al 1.80-1.92, 1 Ni 2.01
O 0.3596 0.3370 0.4520 (multiplicity 1)  3 Al 1.80-1.97
O 0.4866 0.0357 0.6126 (multiplicity 1)  1 Ni 1.87, 2 Al 1.88-1.92
O 0.4882 0.4672 0.6096 (multiplicity 1)  3 Al 1.86-1.89
O 0.5413 0.4807 0.1174 (multiplicity 1)  2 Al 1.79-1.93, 1 Ni 1.89
O 0.5413 0.9713 0.1170 (multiplicity 1)  1 Al 1.80, 2 Ni 1.88-1.94
O 0.6413 0.1674 0.7886 (multiplicity 1)  2 Al 1.88-1.92, 2 Ni 1.97-2.02
O 0.6695 0.1824 0.2808 (multiplicity 1)  2 Al 1.78-1.89
O 0.6741 0.6606 0.8081 (multiplicity 1)  1 Ni 1.85, 2 Al 1.85-1.86
O 0.7027 0.6454 0.2821 (multiplicity 1)  2 Al 1.78-1.93, 1 Ni 1.92
O 0.8336 0.8240 0.9508 (multiplicity 1)  3 Al 1.84-2.02, 1 Ni 1.98
O 0.8423 0.3469 0.9541 (multiplicity 1)  2 Al 1.83-1.94, 1 Ni 1.96
O 0.8545 0.3063 0.4539 (multiplicity 1)  2 Al 1.84-1.94, 2 Ni 1.98-2.02
O 0.8557 0.8327 0.4526 (multiplicity 1)  3 Al 1.83-2.01, 1 Ni 1.96
O 0.9862 0.0063 0.1255 (multiplicity 1)  2 Al 1.77-1.92, 1 Ni 1.91
O 0.9940 0.9744 0.6006 (multiplicity 1)  2 Al 1.84, 2 Ni 1.95-2.04

The following is a GGA+U calculation of a relaxed Cs2Ni2Mo3O12 crystal, from Materials Project.

Properties
Electronic total energy ... -6.258 eV per atom
Total moment ... 0.026 μB per atom

a = 10.9346 Å, b = 10.9346 Å, c = 10.9346 Å
α = 90.00°, β = 90.00°, γ = 90.00°
Last column: nearest neighbours and their distance in Å.
Space group P2_13 (No. 198)
Unique sites:
Cs 0.0707 0.0707 0.0707 (multiplicity 4)  9 O 3.20-3.29
Cs 0.2090 0.7090 0.7910 (multiplicity 4)  9 O 3.17-3.52
Ni 0.0874 0.9126 0.4126 (multiplicity 4)  6 O 2.08-2.09
Ni 0.1376 0.3624 0.6376 (multiplicity 4)  6 O 2.07-2.08
Mo 0.0528 0.7234 0.1262 (multiplicity 12)  4 O 1.79-1.80
O 0.0040 0.5684 0.1460 (multiplicity 12)  1 Mo 1.79
O 0.0110 0.9631 0.7986 (multiplicity 12)  1 Mo 1.80
O 0.0258 0.8046 0.2669 (multiplicity 12)  1 Mo 1.80
O 0.0794 0.2104 0.7350 (multiplicity 12)  1 Mo 1.80

The following is a GGA+U calculation of a relaxed Na2FeHgF6 crystal, from Materials Project.

Properties
Electronic total energy ... -4.098 eV per atom
Total moment ... 0.418 μB per atom

a = 8.8344 Å, b = 8.8344 Å, c = 8.8344 Å
α = 90.00°, β = 90.00°, γ = 90.00°
Last column: nearest neighbours and their distance in Å.
Space group Fm-3m (No. 225)
Unique sites:
Na 0.2500 0.2500 0.2500 (multiplicity 8)  12 F 3.13
Fe 0.0000 0.0000 0.0000 (multiplicity 4)  6 F 1.96
Hg 0.0000 0.0000 0.5000 (multiplicity 4)  6 F 2.46
F 0.0000 0.0000 0.2218 (multiplicity 24)  1 Fe 1.96

The following is a GGA+U calculation of a relaxed LiVSiO4 crystal, from Materials Project.

Properties
Energy above the most stable polymorph in this dataset ... 51 meV per atom
Electronic total energy ... -7.326 eV per atom
Total moment ... 0.000 μB per atom

a = 10.3109 Å, b = 6.2246 Å, c = 4.7842 Å
α = 90.00°, β = 90.00°, γ = 90.00°
Last column: nearest neighbours and their distance in Å.
Space group Pnma (No. 62)
Unique sites:
Li 0.2137 0.2500 0.0200 (multiplicity 4)  3 O 2.02-2.11
V 0.0000 0.0000 0.5000 (multiplicity 4)  6 O 2.04-2.10
Si 0.0879 0.7500 0.0814 (multiplicity 4)  4 O 1.64-1.69
O 0.0591 0.2500 0.7602 (multiplicity 4)  1 Si 1.69
O 0.0804 0.7500 0.7369 (multiplicity 4)  1 Si 1.65
O 0.1484 0.5309 0.2221 (multiplicity 8)  1 Si 1.64

The following is a GGA+U calculation of a relaxed Na2MnTlF6 crystal, from Materials Project.

Properties
Electronic total energy ... -4.642 eV per atom
Total moment ... 0.400 μB per atom

a = 8.9697 Å, b = 8.9697 Å, c = 8.9697 Å
α = 90.00°, β = 90.00°, γ = 90.00°
Last column: nearest neighbours and their distance in Å.
Space group Fm-3m (No. 225)
Unique sites:
Na 0.2500 0.2500 0.2500 (multiplicity 8)  12 F 3.18
Mn 0.0000 0.0000 0.0000 (multiplicity 4)  6 F 1.96
Tl 0.0000 0.0000 0.5000 (multiplicity 4)  6 F 2.53
F 0.0000 0.0000 0.2184 (multiplicity 24)  1 Mn 1.96

The following is a GGA+U calculation of a relaxed Li2MnF5 crystal, from Materials Project.

Properties
Energy above the most stable polymorph in this dataset ... 84 meV per atom
Electronic total energy ... -5.234 eV per atom
Total moment ... 0.500 μB per atom

a = 5.7281 Å, b = 11.4467 Å, c = 6.1399 Å
α = 90.00°, β = 95.87°, γ = 90.00°
Last column: nearest neighbours and their distance in Å.
Space group P2_1 (No. 4)
Unique sites:
Li 0.0049 0.0000 0.1658 (multiplicity 2)  5 F 1.98-2.09
Li 0.1618 0.7207 0.6825 (multiplicity 2)  4 F 1.87-2.03
Li 0.3672 0.1918 0.5059 (multiplicity 2)  3 F 1.86-2.03
Li 0.4705 0.9528 0.1728 (multiplicity 2)  5 F 1.94-2.16
Mn 0.0514 0.9915 0.6402 (multiplicity 2)  4 F 1.84-1.92
Mn 0.3474 0.2336 0.9962 (multiplicity 2)  5 F 1.86-2.05
F 0.0336 0.3427 0.4506 (multiplicity 2)  1 Mn 1.84, 1 Li 1.92
F 0.0847 0.1727 0.1410 (multiplicity 2)  2 Li 1.95-2.04, 1 Mn 1.95
F 0.1323 0.1473 0.7124 (multiplicity 2)  1 Mn 1.88, 1 Li 2.01
F 0.1810 0.5533 0.5760 (multiplicity 2)  1 Mn 1.92, 2 Li 2.03-2.09
F 0.1834 0.9402 0.9173 (multiplicity 2)  1 Mn 1.88, 1 Li 2.04
F 0.2320 0.3878 0.9679 (multiplicity 2)  1 Mn 1.89, 1 Li 1.98
F 0.2824 0.0069 0.4041 (multiplicity 2)  2 Li 1.97-2.05, 1 Mn 2.07
F 0.4719 0.7802 0.2339 (multiplicity 2)  1 Mn 1.91, 2 Li 2.01-2.03
F 0.4751 0.7677 0.7031 (multiplicity 2)  2 Li 1.86-1.87, 1 Mn 2.05
F 0.4794 0.5962 0.9845 (multiplicity 2)  1 Mn 1.86, 1 Li 1.94

The following is a GGA+U calculation of a relaxed KFeBP2HO9 crystal, from Materials Project.

Properties
Energy above the most stable polymorph in this dataset ... 0 meV per atom
Electronic total energy ... -6.905 eV per atom
Total moment ... 0.333 μB per atom

a = 9.5321 Å, b = 8.3194 Å, c = 9.7516 Å
α = 90.00°, β = 102.02°, γ = 90.00°
Last column: nearest neighbours and their distance in Å.
Space group P2_1/c (No. 14)
Unique sites:
K 0.1939 0.0881 0.0760 (multiplicity 4)  7 O 2.85-3.16
Fe 0.2086 0.6551 0.9332 (multiplicity 4)  6 O 1.98-2.16
B 0.3324 0.0683 0.6918 (multiplicity 4)  4 O 1.47-1.50
P 0.0782 0.5564 0.2106 (multiplicity 4)  4 O 1.53-1.59
P 0.4214 0.7472 0.7185 (multiplicity 4)  4 O 1.53-1.58
H 0.3916 0.0936 0.4991 (multiplicity 4)  1 O 0.97
O 0.0730 0.5134 0.8059 (multiplicity 4)  1 P 1.53
O 0.0961 0.6629 0.0864 (multiplicity 4)  1 P 1.54
O 0.1106 0.6460 0.3528 (multiplicity 4)  1 P 1.55
O 0.1892 0.0889 0.7248 (multiplicity 4)  1 B 1.48, 1 P 1.59
O 0.3090 0.0580 0.5353 (multiplicity 4)  1 H 0.97
O 0.3428 0.6332 0.8005 (multiplicity 4)  1 P 1.53
O 0.3717 0.7242 0.5602 (multiplicity 4)  1 P 1.53
O 0.4092 0.5732 0.2628 (multiplicity 4)  1 B 1.48, 1 P 1.57
O 0.4120 0.2165 0.7390 (multiplicity 4)  1 B 1.47, 1 P 1.58